# Na12Ca5TaP9O36

A relaxed structure of Na12Ca5TaP9O36 (PBE, the Materials Project database).

Lattice parameters (Å, degrees): 9.420 9.420 23.003 90.00 90.00 120.00
Positions (direct):
Na1 0.000 0.000 0.070
Na2 0.000 0.000 0.570
Na3 0.030 0.347 0.156
Na4 0.030 0.682 0.656
Na5 0.318 0.347 0.656
Na6 0.318 0.970 0.156
Na7 0.333 0.032 0.500
Na8 0.333 0.301 0.000
Na9 0.333 0.667 0.249
Na10 0.333 0.667 0.749
Na11 0.375 0.003 0.837
Na12 0.375 0.372 0.337
Na13 0.628 0.003 0.337
Na14 0.628 0.625 0.837
Na15 0.653 0.682 0.156
Na16 0.653 0.970 0.656
Na17 0.667 0.333 0.426
Na18 0.667 0.333 0.926
Na19 0.699 0.032 0.000
Na20 0.699 0.667 0.500
Na21 0.968 0.301 0.500
Na22 0.968 0.667 0.000
Na23 0.997 0.372 0.837
Na24 0.997 0.625 0.337
Ca1 0.000 0.000 0.432
Ca2 0.000 0.000 0.932
Ca3 0.333 0.667 0.096
Ca4 0.333 0.667 0.400
Ca5 0.333 0.667 0.596
Ca6 0.333 0.667 0.900
Ca7 0.667 0.333 0.073
Ca8 0.667 0.333 0.263
Ca9 0.667 0.333 0.573
Ca10 0.667 0.333 0.763
Ta1 0.000 0.000 0.234
Ta2 0.000 0.000 0.734
P1 0.000 0.293 0.331
P2 0.000 0.707 0.831
P3 0.024 0.361 0.000
P4 0.024 0.663 0.500
P5 0.293 0.000 0.331
P6 0.293 0.293 0.831
P7 0.337 0.361 0.500
P8 0.337 0.976 0.000
P9 0.349 0.026 0.671
P10 0.349 0.324 0.171
P11 0.639 0.663 0.000
P12 0.639 0.976 0.500
P13 0.676 0.026 0.171
P14 0.676 0.651 0.671
P15 0.707 0.000 0.831
P16 0.707 0.707 0.331
P17 0.974 0.324 0.671
P18 0.974 0.651 0.171
O1 0.003 0.179 0.279
O2 0.003 0.824 0.779
O3 0.006 0.187 0.999
O4 0.006 0.819 0.499
O5 0.110 0.462 0.944
O6 0.110 0.648 0.444
O7 0.124 0.446 0.055
O8 0.124 0.678 0.555
O9 0.151 0.470 0.664
O10 0.151 0.681 0.164
O11 0.164 0.457 0.326
O12 0.164 0.706 0.826
O13 0.171 0.006 0.680
O14 0.171 0.164 0.180
O15 0.176 0.179 0.779
O16 0.176 0.997 0.279
O17 0.181 0.187 0.499
O18 0.181 0.994 0.999
O19 0.218 0.017 0.387
O20 0.218 0.201 0.887
O21 0.294 0.457 0.826
O22 0.294 0.836 0.326
O23 0.319 0.470 0.164
O24 0.319 0.849 0.664
O25 0.322 0.446 0.555
O26 0.322 0.876 0.055
O27 0.352 0.462 0.444
O28 0.352 0.890 0.944
O29 0.416 0.134 0.616
O30 0.416 0.282 0.116
O31 0.456 0.105 0.724
O32 0.456 0.351 0.224
O33 0.464 0.150 0.324
O34 0.464 0.314 0.824
O35 0.493 0.149 0.002
O36 0.493 0.343 0.502
O37 0.530 0.681 0.664
O38 0.530 0.849 0.164
O39 0.538 0.648 0.944
O40 0.538 0.890 0.444
O41 0.543 0.706 0.326
O42 0.543 0.836 0.826
O43 0.554 0.678 0.055
O44 0.554 0.876 0.555
O45 0.649 0.105 0.224
O46 0.649 0.544 0.724
O47 0.657 0.149 0.502
O48 0.657 0.507 0.002
O49 0.686 0.150 0.824
O50 0.686 0.536 0.324
O51 0.718 0.134 0.116
O52 0.718 0.584 0.616
O53 0.799 0.017 0.887
O54 0.799 0.782 0.387
O55 0.813 0.819 0.999
O56 0.813 0.994 0.499
O57 0.821 0.824 0.279
O58 0.821 0.997 0.779
O59 0.836 0.006 0.180
O60 0.836 0.829 0.680
O61 0.850 0.314 0.324
O62 0.850 0.536 0.824
O63 0.851 0.343 0.002
O64 0.851 0.507 0.502
O65 0.866 0.282 0.616
O66 0.866 0.584 0.116
O67 0.895 0.351 0.724
O68 0.895 0.544 0.224
O69 0.983 0.201 0.387
O70 0.983 0.782 0.887
O71 0.994 0.164 0.680
O72 0.994 0.829 0.180

Calculated values
Energy relative to the elements (eV per atom): -2.868
Total magnetic moment (μB per cell): 0.000